Entry 1:
First-principles (GGA-PBE) data for an optimized crystal structure of Cu2GeSe3, as listed in Materials Project.

Cell: 6.869 6.882 6.906 Å, 80.46 70.60 60.06°
Fractional coordinates of all 12 atoms:
1 Cu 0.823 0.169 0.004
2 Cu 0.166 0.501 0.002
3 Cu 0.991 0.831 0.504
4 Cu 0.667 0.499 0.502
5 Ge 0.509 0.826 0.993
6 Ge 0.335 0.174 0.493
7 Se 0.879 0.832 0.878
8 Se 0.538 0.499 0.876
9 Se 0.367 0.827 0.383
10 Se 0.194 0.173 0.883
11 Se 0.037 0.501 0.376
12 Se 0.711 0.168 0.378

Calculated values
As for the crystal system: monoclinic. The distance to the lowest polymorph of the same formula comes out at 4 meV/atom. The calculated formation energy comes out at -11.000 kcal/mol of atoms.



Entry 2:
First-principles (GGA-PBE) data for an optimized crystal structure of Cu2GeSe3, as listed in Materials Project.

Cell: 13.167 12.562 6.871 Å, 79.44 69.70 30.86°
Fractional coordinates of all 24 atoms:
1 Cu 0.580 0.254 0.258
2 Cu 0.911 0.589 0.911
3 Cu 0.258 0.908 0.580
4 Cu 0.996 0.670 0.342
5 Cu 0.342 0.992 0.996
6 Cu 0.661 0.339 0.661
7 Cu 0.417 0.083 0.417
8 Cu 0.167 0.833 0.167
9 Ge 0.737 0.426 0.097
10 Ge 0.097 0.740 0.737
11 Ge 0.510 0.153 0.824
12 Ge 0.824 0.513 0.510
13 Se 0.968 0.370 0.119
14 Se 0.291 0.710 0.796
15 Se 0.625 0.042 0.451
16 Se 0.451 0.883 0.625
17 Se 0.796 0.203 0.291
18 Se 0.119 0.543 0.968
19 Se 0.540 0.959 0.047
20 Se 0.880 0.282 0.707
21 Se 0.208 0.625 0.367
22 Se 0.707 0.131 0.880
23 Se 0.047 0.454 0.540
24 Se 0.367 0.799 0.208

Calculated values
As for the crystal system: orthorhombic. The distance to the lowest polymorph of the same formula comes out at 7 meV/atom. The calculated formation energy comes out at -10.932 kcal/mol of atoms.



Entry 3:
First-principles (GGA-PBE) data for an optimized crystal structure of Cu2GeSe4, as listed in Materials Project.

Cell: 6.514 6.514 6.514 Å, 128.79 128.79 75.35°
Fractional coordinates of all 7 atoms:
1 Cu 0.250 0.750 0.500
2 Cu 0.750 0.250 0.500
3 Ge 0.500 0.500 0.000
4 Se 0.366 0.366 0.485
5 Se 0.634 0.119 0.000
6 Se 0.119 0.634 0.000
7 Se 0.881 0.881 0.515

Calculated values
As for the crystal system: tetragonal. The calculated formation energy comes out at -9.963 kcal/mol of atoms.